(1)
# Rb2Ni3Se4 | Materials Project | r²SCAN | optimized geometry
# raw total energy = -14.20 eV per atom
data_Rb2Ni3Se4
_chemical_formula_sum 'Rb16 Ni24 Se32'
_cell_length_a 6.064
_cell_length_b 10.566
_cell_length_c 27.886
_cell_angle_alpha 90.00
_cell_angle_beta 90.00
_cell_angle_gamma 90.00
_symmetry_space_group_name_H-M 'F d d d'
_symmetry_Int_Tables_number 70
loop_
_symmetry_equiv_pos_as_xyz
'x,y,z'
'-x,-y,-z'
'-x+1/4,-y+1/4,z'
'x+1/4,y+1/4,-z'
'x,-y+1/4,-z+1/4'
'-x,y+1/4,z+1/4'
'-x+1/4,y,-z+1/4'
'x+1/4,-y,z+1/4'
'x,y+1/2,z+1/2'
'-x,-y+1/2,-z+1/2'
'-x+1/4,-y+3/4,z+1/2'
'x+1/4,y+3/4,-z+1/2'
'x,-y+3/4,-z+3/4'
'-x,y+3/4,z+3/4'
'-x+1/4,y+1/2,-z+3/4'
'x+1/4,-y+1/2,z+3/4'
'x+1/2,y,z+1/2'
'-x+1/2,-y,-z+1/2'
'-x+3/4,-y+1/4,z+1/2'
'x+3/4,y+1/4,-z+1/2'
'x+1/2,-y+1/4,-z+3/4'
'-x+1/2,y+1/4,z+3/4'
'-x+3/4,y,-z+3/4'
'x+3/4,-y,z+3/4'
'x+1/2,y+1/2,z'
'-x+1/2,-y+1/2,-z'
'-x+3/4,-y+3/4,z'
'x+3/4,y+3/4,-z'
'x+1/2,-y+3/4,-z+1/4'
'-x+1/2,y+3/4,z+1/4'
'-x+3/4,y+1/2,-z+1/4'
'x+3/4,-y+1/2,z+1/4'
loop_
_atom_site_label
_atom_site_type_symbol
_atom_site_fract_x
_atom_site_fract_y
_atom_site_fract_z
Rb1 Rb 0.125 0.125 0.048
Ni1 Ni 0.125 0.125 0.375
Ni2 Ni 0.125 0.125 0.625
Se1 Se 0.123 0.291 0.570

(2)
# Ti2ReNi | Materials Project | r²SCAN | optimized geometry
# raw total energy = -23.02 eV per atom
data_Ti2ReNi
_chemical_formula_sum 'Ti8 Re4 Ni4'
_cell_length_a 6.112
_cell_length_b 6.112
_cell_length_c 6.112
_cell_angle_alpha 90.00
_cell_angle_beta 90.00
_cell_angle_gamma 90.00
_symmetry_space_group_name_H-M 'F m -3 m'
_symmetry_Int_Tables_number 225
_symmetry_space_group_name_Hall '-F 4 2 3'
loop_
_atom_site_label
_atom_site_type_symbol
_atom_site_fract_x
_atom_site_fract_y
_atom_site_fract_z
Ti1 Ti 0.250 0.250 0.250
Re1 Re 0.000 0.000 0.000
Ni1 Ni 0.000 0.000 0.500

(3)
# NiRh | Materials Project | r²SCAN | optimized geometry
# raw total energy = -17.97 eV per atom
data_NiRh
_chemical_formula_sum 'Ni3 Rh3'
_cell_length_a 2.6283
_cell_length_b 2.6283
_cell_length_c 12.3351
_cell_angle_alpha 90.00
_cell_angle_beta 90.00
_cell_angle_gamma 120.00
_symmetry_space_group_name_H-M 'R -3 m'
_symmetry_Int_Tables_number 166
_symmetry_space_group_name_Hall '-R 3 2"'
loop_
_atom_site_label
_atom_site_type_symbol
_atom_site_fract_x
_atom_site_fract_y
_atom_site_fract_z
Ni1 Ni 0.0000 0.0000 0.0000
Rh1 Rh 0.0000 0.0000 0.5000

(4)
# Tm2NiRu | Materials Project | r²SCAN | optimized geometry
# raw total energy = -27.40 eV per atom
data_Tm2NiRu
_chemical_formula_sum 'Tm8 Ni4 Ru4'
_cell_length_a 6.633
_cell_length_b 6.633
_cell_length_c 6.633
_cell_angle_alpha 90.00
_cell_angle_beta 90.00
_cell_angle_gamma 90.00
_symmetry_space_group_name_H-M 'F m -3 m'
_symmetry_Int_Tables_number 225
_symmetry_space_group_name_Hall '-F 4 2 3'
loop_
_atom_site_label
_atom_site_type_symbol
_atom_site_fract_x
_atom_site_fract_y
_atom_site_fract_z
Tm1 Tm 0.250 0.250 0.250
Ni1 Ni 0.000 0.000 0.000
Ru1 Ru 0.000 0.000 0.500

(5)
# Y2NiRu3 | Materials Project | r²SCAN | optimized geometry
# raw total energy = -21.83 eV per atom
data_Y2NiRu3
_chemical_formula_sum 'Y6 Ni3 Ru9'
_cell_length_a 5.2174
_cell_length_b 5.2174
_cell_length_c 13.0089
_cell_angle_alpha 90.00
_cell_angle_beta 90.00
_cell_angle_gamma 120.00
_symmetry_space_group_name_H-M 'R -3 m'
_symmetry_Int_Tables_number 166
_symmetry_space_group_name_Hall '-R 3 2"'
loop_
_atom_site_label
_atom_site_type_symbol
_atom_site_fract_x
_atom_site_fract_y
_atom_site_fract_z
Y1 Y 0.0000 0.0000 0.1230
Ni1 Ni 0.0000 0.0000 0.5000
Ru1 Ru 0.0000 0.5000 0.0000

(6)
# Ni9S8 | Materials Project | r²SCAN | optimized geometry
# raw total energy = -10.57 eV per atom
data_Ni9S8
_chemical_formula_sum 'Ni36 S32'
_cell_length_a 9.203
_cell_length_b 11.078
_cell_length_c 9.314
_cell_angle_alpha 90.00
_cell_angle_beta 90.00
_cell_angle_gamma 90.00
_symmetry_space_group_name_H-M 'C 2 2 2'
_symmetry_Int_Tables_number 21
_symmetry_space_group_name_Hall 'C 2 2'
loop_
_atom_site_label
_atom_site_type_symbol
_atom_site_fract_x
_atom_site_fract_y
_atom_site_fract_z
Ni1 Ni 0.000 0.000 0.000
Ni2 Ni 0.000 0.000 0.286
Ni3 Ni 0.000 0.237 0.000
Ni4 Ni 0.000 0.500 0.500
Ni5 Ni 0.126 0.183 0.378
Ni6 Ni 0.126 0.412 0.127
Ni7 Ni 0.222 0.000 0.500
Ni8 Ni 0.250 0.250 0.770
S1 S 0.119 0.151 0.619
S2 S 0.120 0.379 0.886
S3 S 0.132 0.115 0.140
S4 S 0.132 0.384 0.366

(7)
# NiS | Materials Project | r²SCAN | optimized geometry
# raw total energy = -10.45 eV per atom
data_NiS
_chemical_formula_sum 'Ni9 S9'
_cell_length_a 9.5043
_cell_length_b 9.5043
_cell_length_c 3.1266
_cell_angle_alpha 90.00
_cell_angle_beta 90.00
_cell_angle_gamma 120.00
_symmetry_space_group_name_H-M 'R 3 m'
_symmetry_Int_Tables_number 160
_symmetry_space_group_name_Hall 'R 3 -2"'
loop_
_atom_site_label
_atom_site_type_symbol
_atom_site_fract_x
_atom_site_fract_y
_atom_site_fract_z
Ni1 Ni 0.1752 0.0876 0.0000
S1 S 0.1095 0.5547 0.1895

(8)
# Ni3S2 | Materials Project | r²SCAN | optimized geometry
# raw total energy = -10.83 eV per atom
data_Ni3S2
_chemical_formula_sum 'Ni9 S6'
_cell_length_a 5.6738
_cell_length_b 5.6738
_cell_length_c 7.0471
_cell_angle_alpha 90.00
_cell_angle_beta 90.00
_cell_angle_gamma 120.00
_symmetry_space_group_name_H-M 'R 3 2'
_symmetry_Int_Tables_number 155
_symmetry_space_group_name_Hall 'R 3 2"'
loop_
_atom_site_label
_atom_site_type_symbol
_atom_site_fract_x
_atom_site_fract_y
_atom_site_fract_z
Ni1 Ni 0.0000 0.7452 0.0000
S1 S 0.0000 0.0000 0.2460

raw total energy of number 4 (Tm2NiRu)?
-27.40 eV per atom